# K9U6BiO24 | the Materials Project database | GGA-PBE | relaxed
# theoretical density	5.8	g/cm3
# ΔH_f (0 K)	-3.0879	eV/atom
# total DFT energy (no corrections)	-7.685	eV/atom
data_K9U6BiO24
_symmetry_space_group_name_H-M 'P m -3 m'
_symmetry_Int_Tables_number 221
_symmetry_space_group_name_Hall '-P 4 2 3'
_cell_length_a 8.767
_cell_length_b 8.767
_cell_length_c 8.767
_cell_angle_alpha 90.00
_cell_angle_beta 90.00
_cell_angle_gamma 90.00
loop_
_atom_site_label
_atom_site_type_symbol
_atom_site_fract_x
_atom_site_fract_y
_atom_site_fract_z
_atom_site_occupancy
K1 K 0.000 0.000 0.000 1
K2 K 0.248 0.248 0.248 1
U1 U 0.000 0.000 0.500 1
U2 U 0.000 0.500 0.500 1
Bi1 Bi 0.500 0.500 0.500 1
O1 O 0.000 0.000 0.285 1
O2 O 0.000 0.255 0.500 1
O3 O 0.231 0.500 0.500 1

# SmPO4 | the Materials Project database | GGA-PBE | relaxed
# theoretical density	5.2	g/cm3
# ΔH_f (0 K)	-3.4695	eV/atom
# total DFT energy (no corrections)	-7.999	eV/atom
data_SmPO4
_symmetry_space_group_name_H-M 'I 41/a m d'
_symmetry_Int_Tables_number 141
_cell_length_a 7.122
_cell_length_b 7.122
_cell_length_c 6.157
_cell_angle_alpha 90.00
_cell_angle_beta 90.00
_cell_angle_gamma 90.00
loop_
_symmetry_equiv_pos_as_xyz
'x,y,z'
'-x,-y,-z'
'-y+1/4,x+3/4,z+1/4'
'y+1/4,-x+3/4,-z+1/4'
'-x+1/2,-y,z+1/2'
'x+1/2,y,-z+1/2'
'y+1/4,-x+1/4,z+3/4'
'-y+1/4,x+1/4,-z+3/4'
'x,-y,-z'
'-x,y,z'
'-y+1/4,-x+1/4,-z+3/4'
'y+1/4,x+1/4,z+3/4'
'-x+1/2,y,-z+1/2'
'x+1/2,-y,z+1/2'
'y+1/4,x+3/4,-z+1/4'
'-y+1/4,-x+3/4,z+1/4'
'x+1/2,y+1/2,z+1/2'
'-x+1/2,-y+1/2,-z+1/2'
'-y+3/4,x+1/4,z+3/4'
'y+3/4,-x+1/4,-z+3/4'
'-x,-y+1/2,z'
'x,y+1/2,-z'
'y+3/4,-x+3/4,z+1/4'
'-y+3/4,x+3/4,-z+1/4'
'x+1/2,-y+1/2,-z+1/2'
'-x+1/2,y+1/2,z+1/2'
'-y+3/4,-x+3/4,-z+1/4'
'y+3/4,x+3/4,z+1/4'
'-x,y+1/2,-z'
'x,-y+1/2,z'
'y+3/4,x+1/4,-z+3/4'
'-y+3/4,-x+1/4,z+3/4'
loop_
_atom_site_label
_atom_site_type_symbol
_atom_site_fract_x
_atom_site_fract_y
_atom_site_fract_z
_atom_site_occupancy
Sm1 Sm 0.000 0.250 0.375 1
P1 P 0.000 0.250 0.875 1
O1 O 0.000 0.079 0.718 1

# Cs2TlCuF6 | the Materials Project database | GGA-PBE | relaxed
# theoretical density	5.9	g/cm3
# ΔH_f (0 K)	-2.3788	eV/atom
# total DFT energy (no corrections)	-4.076	eV/atom
data_Cs2TlCuF6
_symmetry_space_group_name_H-M 'F m -3 m'
_symmetry_Int_Tables_number 225
_symmetry_space_group_name_Hall '-F 4 2 3'
_cell_length_a 8.981
_cell_length_b 8.981
_cell_length_c 8.981
_cell_angle_alpha 90.00
_cell_angle_beta 90.00
_cell_angle_gamma 90.00
loop_
_atom_site_label
_atom_site_type_symbol
_atom_site_fract_x
_atom_site_fract_y
_atom_site_fract_z
_atom_site_occupancy
Cs1 Cs 0.250 0.250 0.250 1
Tl1 Tl 0.000 0.000 0.000 1
Cu1 Cu 0.000 0.000 0.500 1
F1 F 0.000 0.000 0.267 1

# Bi8Se7 | the Materials Project database | GGA-PBE | relaxed
# theoretical density	7.9	g/cm3
# ΔH_f (0 K)	-0.5110	eV/atom
# total DFT energy (no corrections)	-3.997	eV/atom
data_Bi8Se7
_symmetry_space_group_name_H-M 'P -3 m 1'
_symmetry_Int_Tables_number 164
_symmetry_space_group_name_Hall '-P 3 2"'
_cell_length_a 4.2875
_cell_length_b 4.2875
_cell_length_c 88.6410
_cell_angle_alpha 90.00
_cell_angle_beta 90.00
_cell_angle_gamma 120.00
loop_
_atom_site_label
_atom_site_type_symbol
_atom_site_fract_x
_atom_site_fract_y
_atom_site_fract_z
_atom_site_occupancy
Bi1 Bi 0.0000 0.0000 0.0682 1
Bi2 Bi 0.0000 0.0000 0.1357 1
Bi3 Bi 0.0000 0.0000 0.3328 1
Bi4 Bi 0.0000 0.0000 0.4003 1
Bi5 Bi 0.3333 0.6667 0.0212 1
Bi6 Bi 0.3333 0.6667 0.0882 1
Bi7 Bi 0.3333 0.6667 0.2858 1
Bi8 Bi 0.3333 0.6667 0.3529 1
Bi9 Bi 0.3333 0.6667 0.4900 1
Bi10 Bi 0.3333 0.6667 0.5571 1
Bi11 Bi 0.3333 0.6667 0.7568 1
Bi12 Bi 0.3333 0.6667 0.8218 1
Se1 Se 0.0000 0.0000 0.0000 1
Se2 Se 0.0000 0.0000 0.1951 1
Se3 Se 0.0000 0.0000 0.2649 1
Se4 Se 0.0000 0.0000 0.4604 1
Se5 Se 0.3333 0.6667 0.1566 1
Se6 Se 0.3333 0.6667 0.2263 1
Se7 Se 0.3333 0.6667 0.4217 1
Se8 Se 0.3333 0.6667 0.6171 1
Se9 Se 0.3333 0.6667 0.6967 1
Se10 Se 0.3333 0.6667 0.8817 1
Se11 Se 0.3333 0.6667 0.9615 1

# Na6Mg7SnS12O48 | the Materials Project database | GGA-PBE | relaxed
# theoretical density	2.6	g/cm3
# ΔH_f (0 K)	-2.2802	eV/atom
# total DFT energy (no corrections)	-6.028	eV/atom
data_Na6Mg7SnS12O48
_symmetry_space_group_name_H-M 'P 1'
_symmetry_Int_Tables_number 1
_symmetry_space_group_name_Hall 'P 1'
_cell_length_a 8.694
_cell_length_b 15.089
_cell_length_c 22.660
_cell_angle_alpha 90.00
_cell_angle_beta 89.98
_cell_angle_gamma 89.92
loop_
_atom_site_label
_atom_site_type_symbol
_atom_site_fract_x
_atom_site_fract_y
_atom_site_fract_z
_atom_site_occupancy
Na1 Na 0.000 0.000 0.000 1
Na2 Na 0.001 0.338 0.330 1
Na3 Na 0.004 0.005 0.501 1
Na4 Na 0.005 0.665 0.665 1
Na5 Na 0.008 0.336 0.832 1
Na6 Na 0.015 0.666 0.163 1
Na7 Na 0.145 0.835 0.581 1
Na8 Na 0.326 0.353 0.414 1
Na9 Na 0.328 0.016 0.081 1
Na10 Na 0.373 0.337 0.083 1
Na11 Na 0.505 0.164 0.665 1
Na12 Na 0.505 0.835 0.334 1
Na13 Na 0.509 0.835 0.832 1
Na14 Na 0.510 0.511 0.498 1
Na15 Na 0.512 0.508 0.001 1
Na16 Na 0.517 0.170 0.167 1
Na17 Na 0.646 0.336 0.581 1
Na18 Na 0.688 0.681 0.248 1
Mg1 Mg 0.001 0.001 0.146 1
Mg2 Mg 0.001 0.337 0.482 1
Mg3 Mg 0.003 0.664 0.515 1
Mg4 Mg 0.005 0.006 0.646 1
Mg5 Mg 0.005 0.338 0.981 1
Mg6 Mg 0.006 0.668 0.017 1
Mg7 Mg 0.007 0.339 0.184 1
Mg8 Mg 0.008 0.668 0.814 1
Mg9 Mg 0.010 0.336 0.683 1
Mg10 Mg 0.013 0.664 0.316 1
Mg11 Mg 0.503 0.834 0.180 1
Mg12 Mg 0.506 0.507 0.646 1
Mg13 Mg 0.509 0.164 0.516 1
Mg14 Mg 0.509 0.169 0.813 1
Mg15 Mg 0.510 0.506 0.148 1
Mg16 Mg 0.510 0.832 0.982 1
Mg17 Mg 0.511 0.171 0.313 1
Mg18 Mg 0.511 0.835 0.682 1
Mg19 Mg 0.512 0.506 0.348 1
Mg20 Mg 0.513 0.833 0.481 1
Mg21 Mg 0.519 0.169 0.014 1
Sn1 Sn 0.006 0.002 0.349 1
Sn2 Sn 0.007 0.002 0.849 1
Sn3 Sn 0.508 0.503 0.849 1
S1 S 0.151 0.190 0.081 1
S2 S 0.153 0.482 0.082 1
S3 S 0.155 0.523 0.415 1
S4 S 0.156 0.149 0.747 1
S5 S 0.156 0.814 0.415 1
S6 S 0.156 0.854 0.746 1
S7 S 0.214 0.502 0.747 1
S8 S 0.215 0.834 0.081 1
S9 S 0.218 0.169 0.415 1
S10 S 0.298 0.670 0.915 1
S11 S 0.300 0.335 0.581 1
S12 S 0.303 0.002 0.247 1
S13 S 0.360 0.648 0.248 1
S14 S 0.361 0.314 0.915 1
S15 S 0.361 0.355 0.248 1
S16 S 0.363 0.689 0.582 1
S17 S 0.364 0.982 0.582 1
S18 S 0.365 0.022 0.915 1
S19 S 0.651 0.023 0.414 1
S20 S 0.655 0.354 0.747 1
S21 S 0.655 0.689 0.082 1
S22 S 0.655 0.981 0.081 1
S23 S 0.656 0.314 0.415 1
S24 S 0.656 0.650 0.747 1
S25 S 0.713 0.002 0.747 1
S26 S 0.715 0.669 0.414 1
S27 S 0.718 0.335 0.082 1
S28 S 0.800 0.170 0.914 1
S29 S 0.800 0.835 0.582 1
S30 S 0.801 0.501 0.249 1
S31 S 0.861 0.149 0.247 1
S32 S 0.861 0.813 0.915 1
S33 S 0.862 0.855 0.247 1
S34 S 0.864 0.189 0.582 1
S35 S 0.864 0.482 0.583 1
S36 S 0.865 0.523 0.915 1
O1 O 0.080 0.907 0.409 1
O2 O 0.082 0.768 0.755 1
O3 O 0.083 0.111 0.803 1
O4 O 0.083 0.237 0.742 1
O5 O 0.084 0.571 0.074 1
O6 O 0.086 0.229 0.028 1
O7 O 0.086 0.441 0.135 1
O8 O 0.086 0.778 0.469 1
O9 O 0.086 0.896 0.694 1
O10 O 0.087 0.562 0.362 1
O11 O 0.088 0.098 0.088 1
O12 O 0.088 0.431 0.422 1
O13 O 0.116 0.086 0.409 1
O14 O 0.117 0.756 0.075 1
O15 O 0.119 0.248 0.421 1
O16 O 0.119 0.422 0.742 1
O17 O 0.120 0.582 0.755 1
O18 O 0.120 0.917 0.088 1
O19 O 0.125 0.763 0.362 1
O20 O 0.127 0.092 0.696 1
O21 O 0.128 0.577 0.468 1
O22 O 0.129 0.245 0.134 1
O23 O 0.131 0.425 0.029 1
O24 O 0.134 0.911 0.802 1
O25 O 0.188 0.014 0.910 1
O26 O 0.192 0.346 0.242 1
O27 O 0.192 0.659 0.255 1
O28 O 0.192 0.682 0.575 1
O29 O 0.192 0.989 0.588 1
O30 O 0.193 0.325 0.921 1
O31 O 0.205 0.322 0.634 1
O32 O 0.206 0.016 0.194 1
O33 O 0.206 0.654 0.968 1
O34 O 0.207 0.681 0.861 1
O35 O 0.207 0.985 0.302 1
O36 O 0.209 0.348 0.527 1
O37 O 0.307 0.484 0.803 1
O38 O 0.309 0.153 0.468 1
O39 O 0.309 0.822 0.135 1
O40 O 0.310 0.182 0.361 1
O41 O 0.312 0.852 0.029 1
O42 O 0.314 0.516 0.696 1
O43 O 0.323 0.156 0.756 1
O44 O 0.323 0.827 0.421 1
O45 O 0.324 0.179 0.075 1
O46 O 0.324 0.488 0.088 1
O47 O 0.324 0.847 0.742 1
O48 O 0.325 0.510 0.409 1
O49 O 0.384 0.076 0.969 1
O50 O 0.386 0.745 0.635 1
O51 O 0.387 0.595 0.195 1
O52 O 0.387 0.925 0.529 1
O53 O 0.389 0.408 0.303 1
O54 O 0.392 0.261 0.862 1
O55 O 0.396 0.083 0.256 1
O56 O 0.398 0.922 0.242 1
O57 O 0.400 0.586 0.910 1
O58 O 0.401 0.747 0.921 1
O59 O 0.403 0.414 0.588 1
O60 O 0.404 0.256 0.575 1
O61 O 0.428 0.064 0.862 1
O62 O 0.429 0.395 0.194 1
O63 O 0.430 0.277 0.969 1
O64 O 0.430 0.730 0.528 1
O65 O 0.430 0.933 0.921 1
O66 O 0.431 0.941 0.635 1
O67 O 0.432 0.071 0.575 1
O68 O 0.432 0.600 0.588 1
O69 O 0.433 0.266 0.255 1
O70 O 0.434 0.609 0.301 1
O71 O 0.436 0.406 0.909 1
O72 O 0.437 0.737 0.242 1
O73 O 0.579 0.070 0.075 1
O74 O 0.580 0.403 0.409 1
O75 O 0.582 0.268 0.755 1
O76 O 0.582 0.942 0.135 1
O77 O 0.583 0.275 0.469 1
O78 O 0.583 0.612 0.803 1
O79 O 0.583 0.737 0.742 1
O80 O 0.584 0.600 0.088 1
O81 O 0.586 0.396 0.694 1
O82 O 0.586 0.731 0.030 1
O83 O 0.586 0.933 0.421 1
O84 O 0.589 0.063 0.361 1
O85 O 0.613 0.256 0.075 1
O86 O 0.613 0.414 0.088 1
O87 O 0.617 0.749 0.421 1
O88 O 0.618 0.589 0.408 1
O89 O 0.618 0.922 0.742 1
O90 O 0.619 0.083 0.755 1
O91 O 0.627 0.259 0.363 1
O92 O 0.628 0.592 0.696 1
O93 O 0.628 0.928 0.028 1
O94 O 0.630 0.742 0.137 1
O95 O 0.632 0.077 0.467 1
O96 O 0.633 0.411 0.802 1
O97 O 0.688 0.513 0.909 1
O98 O 0.692 0.488 0.589 1
O99 O 0.692 0.845 0.242 1
O100 O 0.693 0.182 0.575 1
O101 O 0.694 0.155 0.255 1
O102 O 0.694 0.826 0.921 1
O103 O 0.705 0.518 0.196 1
O104 O 0.706 0.488 0.302 1
O105 O 0.706 0.850 0.529 1
O106 O 0.707 0.181 0.861 1
O107 O 0.707 0.822 0.635 1
O108 O 0.709 0.153 0.967 1
O109 O 0.806 0.985 0.803 1
O110 O 0.808 0.683 0.360 1
O111 O 0.810 0.348 0.028 1
O112 O 0.811 0.320 0.135 1
O113 O 0.812 0.656 0.467 1
O114 O 0.813 0.016 0.696 1
O115 O 0.823 0.991 0.088 1
O116 O 0.824 0.324 0.422 1
O117 O 0.824 0.347 0.742 1
O118 O 0.824 0.656 0.755 1
O119 O 0.824 0.680 0.075 1
O120 O 0.828 0.014 0.410 1
O121 O 0.881 0.910 0.303 1
O122 O 0.885 0.426 0.529 1
O123 O 0.885 0.577 0.967 1
O124 O 0.886 0.245 0.634 1
O125 O 0.890 0.092 0.196 1
O126 O 0.890 0.763 0.861 1
O127 O 0.896 0.584 0.255 1
O128 O 0.900 0.422 0.242 1
O129 O 0.901 0.086 0.910 1
O130 O 0.901 0.248 0.921 1
O131 O 0.904 0.757 0.575 1
O132 O 0.904 0.914 0.588 1
O133 O 0.927 0.563 0.861 1
O134 O 0.930 0.433 0.921 1
O135 O 0.931 0.230 0.528 1
O136 O 0.931 0.441 0.635 1
O137 O 0.931 0.766 0.255 1
O138 O 0.932 0.571 0.575 1
O139 O 0.932 0.898 0.196 1
O140 O 0.933 0.100 0.588 1
O141 O 0.933 0.776 0.967 1
O142 O 0.934 0.236 0.242 1
O143 O 0.935 0.111 0.303 1
O144 O 0.936 0.906 0.910 1

# Li2Ca3N6 | the Materials Project database | GGA-PBE | relaxed
# theoretical density	2.6	g/cm3
# ΔH_f (0 K)	-0.6554	eV/atom
# total DFT energy (no corrections)	-5.900	eV/atom
data_Li2Ca3N6
_symmetry_space_group_name_H-M 'C m c m'
_symmetry_Int_Tables_number 63
_symmetry_space_group_name_Hall '-C 2c 2'
_cell_length_a 14.222
_cell_length_b 8.073
_cell_length_c 4.860
_cell_angle_alpha 90.00
_cell_angle_beta 90.00
_cell_angle_gamma 90.00
loop_
_atom_site_label
_atom_site_type_symbol
_atom_site_fract_x
_atom_site_fract_y
_atom_site_fract_z
_atom_site_occupancy
Li1 Li 0.161 0.000 0.000 1
Ca1 Ca 0.000 0.182 0.250 1
Ca2 Ca 0.162 0.341 0.750 1
N1 N 0.046 0.112 0.750 1
N2 N 0.174 0.213 0.250 1
N3 N 0.202 0.367 0.250 1

# Sr2YTaO6 | the Materials Project database | GGA-PBE | relaxed
# theoretical density	6.2	g/cm3
# ΔH_f (0 K)	-3.5755	eV/atom
# total DFT energy (no corrections)	-8.302	eV/atom
data_Sr2YTaO6
_symmetry_space_group_name_H-M 'I 4/m'
_symmetry_Int_Tables_number 87
_symmetry_space_group_name_Hall '-I 4'
_cell_length_a 5.857
_cell_length_b 5.857
_cell_length_c 8.479
_cell_angle_alpha 90.00
_cell_angle_beta 90.00
_cell_angle_gamma 90.00
loop_
_atom_site_label
_atom_site_type_symbol
_atom_site_fract_x
_atom_site_fract_y
_atom_site_fract_z
_atom_site_occupancy
Sr1 Sr 0.000 0.500 0.250 1
Y1 Y 0.000 0.000 0.000 1
Ta1 Ta 0.000 0.000 0.500 1
O1 O 0.000 0.000 0.264 1
O2 O 0.174 0.296 0.500 1

# Lu4Zr3O12 | the Materials Project database | GGA-PBE | relaxed
# theoretical density	7.9	g/cm3
# ΔH_f (0 K)	-3.9920	eV/atom
# total DFT energy (no corrections)	-8.985	eV/atom
data_Lu4Zr3O12
_symmetry_space_group_name_H-M 'P -1'
_symmetry_Int_Tables_number 2
_symmetry_space_group_name_Hall '-P 1'
_cell_length_a 6.334
_cell_length_b 6.339
_cell_length_c 6.393
_cell_angle_alpha 99.47
_cell_angle_beta 98.97
_cell_angle_gamma 99.62
loop_
_atom_site_label
_atom_site_type_symbol
_atom_site_fract_x
_atom_site_fract_y
_atom_site_fract_z
_atom_site_occupancy
Lu1 Lu 0.109 0.303 0.137 1
Lu2 Lu 0.189 0.861 0.390 1
Zr1 Zr 0.355 0.391 0.682 1
Zr2 Zr 0.500 0.000 0.000 1
O1 O 0.083 0.423 0.821 1
O2 O 0.088 0.184 0.433 1
O3 O 0.182 0.925 0.059 1
O4 O 0.326 0.573 0.427 1
O5 O 0.418 0.072 0.684 1
O6 O 0.456 0.324 0.094 1